[1]
A relaxed structure of Tb3Ni. Source: the Materials Project, functional PBE.

Unit cell a=6.8532 b=9.6277 c=6.3358 alpha=90.00 beta=90.00 gamma=90.00
With the nearest neighbours (Å) after each atom.
Atoms (fractional coordinates):
Tb 0.0365 0.2500 0.1434  2 Ni 2.74-2.82
Tb 0.1789 0.0662 0.6765  2 Ni 2.76-2.84
Tb 0.1789 0.4338 0.6765  2 Ni 2.76-2.84
Tb 0.3211 0.5662 0.1765  2 Ni 2.76-2.84
Tb 0.3211 0.9338 0.1765  2 Ni 2.76-2.84
Tb 0.4635 0.7500 0.6434  2 Ni 2.74-2.82
Tb 0.5365 0.2500 0.3566  2 Ni 2.74-2.82
Tb 0.6789 0.0662 0.8235  2 Ni 2.76-2.84
Tb 0.6789 0.4338 0.8235  2 Ni 2.76-2.84
Tb 0.8211 0.5662 0.3235  2 Ni 2.76-2.84
Tb 0.8211 0.9338 0.3235  2 Ni 2.76-2.84
Tb 0.9635 0.7500 0.8566  2 Ni 2.74-2.82
Ni 0.1100 0.7500 0.4414  6 Tb 2.74-2.84
Ni 0.3900 0.2500 0.9414  6 Tb 2.74-2.84
Ni 0.6100 0.7500 0.0586  6 Tb 2.74-2.84
Ni 0.8900 0.2500 0.5586  6 Tb 2.74-2.84

Properties
The uncorrected energy is -0.1896 Ha/atom. The calculated formation energy is -0.9 eV/f.u.

=====

[2]
A relaxed structure of TbNi3. Source: the Materials Project, functional PBE.

Unit cell a=8.6043 b=8.6043 c=8.6043 alpha=33.48 beta=33.48 gamma=33.48
With the nearest neighbours (Å) after each atom.
Atoms (fractional coordinates):
Tb 0.0000 0.0000 0.0000  18 Ni 2.86-3.18
Tb 0.1388 0.1388 0.1388  12 Ni 2.84-3.09, 3 Tb 3.17
Tb 0.8612 0.8612 0.8612  12 Ni 2.84-3.09, 3 Tb 3.17
Ni 0.0800 0.5827 0.5827  7 Ni 2.44-2.52
Ni 0.3329 0.3329 0.3329  6 Ni 2.44-2.47
Ni 0.4173 0.4173 0.9200  7 Ni 2.44-2.52
Ni 0.4173 0.9200 0.4173  7 Ni 2.44-2.52
Ni 0.5000 0.5000 0.5000  6 Ni 2.52
Ni 0.5827 0.0800 0.5827  7 Ni 2.44-2.52
Ni 0.5827 0.5827 0.0800  7 Ni 2.44-2.52
Ni 0.6671 0.6671 0.6671  6 Ni 2.44-2.47
Ni 0.9200 0.4173 0.4173  7 Ni 2.44-2.52

Properties
The uncorrected energy is -0.2167 Ha/atom. The calculated formation energy is -1.6 eV/f.u.

=====

[3]
A relaxed structure of TbYNi2. Source: the Materials Project, functional PBE.

Unit cell a=4.2138 b=5.4013 c=7.1370 alpha=90.00 beta=90.00 gamma=90.00
With the nearest neighbours (Å) after each atom.
Atoms (fractional coordinates):
Tb 0.0000 0.1216 0.0000  7 Ni 2.86-2.92
Tb 0.0000 0.8784 0.5000  7 Ni 2.86-2.92
Y 0.5000 0.3783 0.6460  7 Ni 2.87-2.93
Y 0.5000 0.6217 0.1460  7 Ni 2.87-2.93
Ni 0.0000 0.3756 0.3615  2 Ni 2.57, 1 Tb 2.86
Ni 0.0000 0.6244 0.8615  2 Ni 2.57, 1 Tb 2.86
Ni 0.5000 0.1228 0.2841  2 Ni 2.57, 1 Y 2.87
Ni 0.5000 0.8772 0.7841  2 Ni 2.57, 1 Y 2.87

Properties
The uncorrected energy is -0.2241 Ha/atom. The calculated formation energy is -1.7 eV/f.u.

=====

[4]
A relaxed structure of Tb2ZnNi2. Source: the Materials Project, functional PBE.

Unit cell a=5.3221 b=5.3221 c=5.3221 alpha=132.98 beta=119.34 gamma=80.11
With the nearest neighbours (Å) after each atom.
Atoms (fractional coordinates):
Tb 0.2022 0.2022 0.0000  6 Ni 2.83-2.96, 2 Zn 3.15
Tb 0.7978 0.7978 0.0000  6 Ni 2.83-2.96, 2 Zn 3.15
Zn 0.5000 0.0000 0.5000  4 Ni 2.57
Ni 0.2307 0.5000 0.7307  1 Ni 2.48, 2 Zn 2.57
Ni 0.7693 0.5000 0.2693  1 Ni 2.48, 2 Zn 2.57

Properties
The uncorrected energy is -0.1792 Ha/atom. The calculated formation energy is -2.3 eV/f.u.